No. 1
Cs2LiCr3F12 | GGA+U | optimized geometry

```
data_Cs2LiCr3F12
_chemical_formula_sum 'Cs6 Li3 Cr9 F36'
_space_group_name_H-M_alt 'R -3 m'
_space_group_IT_number 166
_space_group_name_Hall '-R 3 2"'
_cell_length_a 7.3702
_cell_length_b 7.3702
_cell_length_c 18.3622
_cell_angle_alpha 90.00
_cell_angle_beta 90.00
_cell_angle_gamma 120.00
loop_
_atom_site_label
_atom_site_type_symbol
_atom_site_fract_x
_atom_site_fract_y
_atom_site_fract_z
Cs1 Cs 0.0000 0.0000 0.1311
Li1 Li 0.0000 0.0000 0.5000
Cr1 Cr 0.0000 0.5000 0.0000
F1 F 0.0629 0.5315 0.1017
F2 F 0.0747 0.5374 0.3529
```

Summary:
spin magnetization = 27.00 Bohr magnetons per cell
energy relative to the elements = -3112.7 meV per atom
final energy = -5.56 eV/atom

No. 2
Cs2LiCrF6 | GGA+U | optimized geometry

```
data_Cs2LiCrF6
_chemical_formula_sum 'Cs2 Li1 Cr1 F6'
_space_group_name_H-M_alt 'P -3 m 1'
_space_group_IT_number 164
_space_group_name_Hall '-P 3 2"'
_cell_length_a 6.3289
_cell_length_b 6.3289
_cell_length_c 5.1974
_cell_angle_alpha 90.00
_cell_angle_beta 90.00
_cell_angle_gamma 120.00
loop_
_atom_site_label
_atom_site_type_symbol
_atom_site_fract_x
_atom_site_fract_y
_atom_site_fract_z
Cs1 Cs 0.3333 0.6667 0.2293
Li1 Li 0.0000 0.0000 0.0000
Cr1 Cr 0.0000 0.0000 0.5000
F1 F 0.1403 0.2806 0.7327
```

Summary:
spin magnetization = 3.00 Bohr magnetons per cell
energy relative to the elements = -3116.8 meV per atom
final energy = -5.12 eV/atom

No. 3
Cs2NaCrF6 | GGA+U | optimized geometry

```
data_Cs2NaCrF6
_chemical_formula_sum 'Cs12 Na6 Cr6 F36'
_space_group_name_H-M_alt 'R -3 m'
_space_group_IT_number 166
_space_group_name_Hall '-R 3 2"'
_cell_length_a 6.3592
_cell_length_b 6.3592
_cell_length_c 30.9764
_cell_angle_alpha 90.00
_cell_angle_beta 90.00
_cell_angle_gamma 120.00
loop_
_atom_site_label
_atom_site_type_symbol
_atom_site_fract_x
_atom_site_fract_y
_atom_site_fract_z
Cs1 Cs 0.0000 0.0000 0.1280
Cs2 Cs 0.0000 0.0000 0.2820
Na1 Na 0.0000 0.0000 0.4032
Cr1 Cr 0.0000 0.0000 0.0000
Cr2 Cr 0.0000 0.0000 0.5000
F1 F 0.0394 0.5197 0.7028
F2 F 0.0494 0.5247 0.1286
```

Summary:
spin magnetization = 18.01 Bohr magnetons per cell
energy relative to the elements = -3100.8 meV per atom
final energy = -5.05 eV/atom

No. 4
CsCrNiF6 | GGA+U | optimized geometry

```
data_CsCrNiF6
_chemical_formula_sum 'Cs4 Cr4 Ni4 F24'
_space_group_name_H-M_alt 'I m m a'
_space_group_IT_number 74
_space_group_name_Hall '-I 2b 2'
_cell_length_a 7.380
_cell_length_b 7.385
_cell_length_c 10.509
_cell_angle_alpha 90.00
_cell_angle_beta 90.00
_cell_angle_gamma 90.00
loop_
_atom_site_label
_atom_site_type_symbol
_atom_site_fract_x
_atom_site_fract_y
_atom_site_fract_z
Cs1 Cs 0.000 0.250 0.121
Cr1 Cr 0.000 0.000 0.500
Ni1 Ni 0.250 0.250 0.750
F1 F 0.000 0.250 0.435
F2 F 0.000 0.250 0.823
F3 F 0.190 0.051 0.622
```

Summary:
spin magnetization = 20.00 Bohr magnetons per cell
energy relative to the elements = -2866.8 meV per atom
final energy = -5.15 eV/atom

No. 5
Cs2TlCrF6 | GGA+U | optimized geometry

```
data_Cs2TlCrF6
_chemical_formula_sum 'Cs8 Tl4 Cr4 F24'
_space_group_name_H-M_alt 'F m -3 m'
_space_group_IT_number 225
_space_group_name_Hall '-F 4 2 3'
_cell_length_a 9.341
_cell_length_b 9.341
_cell_length_c 9.341
_cell_angle_alpha 90.00
_cell_angle_beta 90.00
_cell_angle_gamma 90.00
loop_
_atom_site_label
_atom_site_type_symbol
_atom_site_fract_x
_atom_site_fract_y
_atom_site_fract_z
Cs1 Cs 0.250 0.250 0.250
Tl1 Tl 0.000 0.000 0.000
Cr1 Cr 0.000 0.000 0.500
F1 F 0.000 0.000 0.291
```

Summary:
spin magnetization = 12.00 Bohr magnetons per cell
energy relative to the elements = -2894.0 meV per atom
final energy = -4.95 eV/atom

No. 6
Cs2MgCr2H12O14 | GGA+U | optimized geometry

```
data_Cs2MgCr2H12O14
_chemical_formula_sum 'Cs4 Mg2 Cr4 H24 O28'
_space_group_name_H-M_alt 'P 1 21/c 1'
_space_group_IT_number 14
_cell_length_a 6.572
_cell_length_b 12.905
_cell_length_c 9.736
_cell_angle_alpha 90.00
_cell_angle_beta 106.84
_cell_angle_gamma 90.00
loop_
_space_group_symop_operation_xyz
'x,y,z'
'-x,-y,-z'
'-x,y+1/2,-z+1/2'
'x,-y+1/2,z+1/2'
loop_
_atom_site_label
_atom_site_type_symbol
_atom_site_fract_x
_atom_site_fract_y
_atom_site_fract_z
Cs1 Cs 0.156 0.147 0.393
Mg1 Mg 0.500 0.000 0.000
Cr1 Cr 0.238 0.651 0.893
H1 H 0.151 0.538 0.590
H2 H 0.164 0.625 0.478
H3 H 0.198 0.097 0.794
H4 H 0.422 0.135 0.773
H5 H 0.430 0.593 0.233
H6 H 0.489 0.683 0.346
O1 O 0.080 0.575 0.768
O2 O 0.102 0.745 0.411
O3 O 0.204 0.552 0.507
O4 O 0.313 0.586 0.047
O5 O 0.350 0.112 0.845
O6 O 0.455 0.686 0.845
O7 O 0.494 0.107 0.165
```

Summary:
spin magnetization = 0.00 Bohr magnetons per cell
energy relative to the elements = -1643.5 meV per atom
final energy = -5.48 eV/atom